SbMoOF9 PBE+U optimized geometry; space group = P2_1/c, No. 14; calculated total energy = -4.97 eV/atom
1.0
-10.225 1.584 2.810
-2.308 -3.978 -6.157
-1.976 -12.066 -0.389
Mo F Sb O
4 36 4 4
Direct
0.187 0.462 0.665
0.813 0.538 0.335
0.687 0.538 0.835
0.313 0.462 0.165
0.651 0.686 0.343
0.396 0.701 0.339
0.647 0.093 0.281
0.981 0.779 0.996
0.612 0.891 0.722
0.112 0.109 0.778
0.356 0.449 0.022
0.104 0.701 0.839
0.151 0.314 0.157
0.478 0.982 0.877
0.644 0.551 0.978
0.973 0.486 0.306
0.522 0.018 0.123
0.604 0.299 0.661
0.896 0.299 0.161
0.245 0.334 0.840
0.856 0.551 0.478
0.853 0.093 0.781
0.527 0.486 0.806
0.978 0.018 0.623
0.388 0.109 0.278
0.745 0.666 0.660
0.519 0.779 0.496
0.481 0.221 0.504
0.888 0.891 0.222
0.349 0.314 0.657
0.255 0.334 0.340
0.147 0.907 0.219
0.849 0.686 0.843
0.473 0.514 0.194
0.144 0.449 0.522
0.027 0.514 0.694
0.022 0.982 0.377
0.019 0.221 0.004
0.755 0.666 0.160
0.353 0.907 0.719
0.517 0.905 0.309
0.017 0.095 0.191
0.983 0.905 0.809
0.483 0.095 0.691
0.749 0.292 0.917
0.249 0.708 0.583
0.751 0.292 0.417
0.251 0.708 0.083

***

SmMoO4F PBE+U optimized geometry; space group = P2_1/c, No. 14; magnetic moment = 0.00 μB/atom; calculated total energy = -7.39 eV/atom
1.0
12.644 0.000 0.000
0.000 5.353 0.000
0.000 2.657 6.333
O Sm Mo F
16 4 4 4
Direct
0.931 0.992 0.835
0.069 0.008 0.165
0.274 0.193 0.294
0.434 0.305 0.960
0.347 0.766 0.087
0.153 0.766 0.587
0.566 0.695 0.040
0.066 0.305 0.460
0.847 0.234 0.413
0.934 0.695 0.540
0.726 0.807 0.706
0.431 0.008 0.665
0.774 0.807 0.206
0.569 0.992 0.335
0.653 0.234 0.913
0.226 0.193 0.794
0.947 0.638 0.200
0.447 0.362 0.300
0.553 0.638 0.700
0.053 0.362 0.800
0.643 0.922 0.130
0.143 0.078 0.370
0.857 0.922 0.630
0.357 0.078 0.870
0.402 0.552 0.535
0.598 0.448 0.465
0.098 0.552 0.035
0.902 0.448 0.965

***

TbMoO4F PBE+U optimized geometry; space group = P2_1/c, No. 14; magnetic moment = 0.00 μB/atom; calculated total energy = -7.39 eV/atom
1.0
12.486 0.000 0.000
0.000 5.287 0.000
0.000 2.645 6.222
Mo O Tb F
4 16 4 4
Direct
0.857 0.922 0.630
0.143 0.078 0.370
0.357 0.078 0.870
0.643 0.922 0.130
0.777 0.807 0.205
0.435 0.308 0.961
0.069 0.005 0.163
0.565 0.692 0.039
0.653 0.238 0.908
0.153 0.762 0.592
0.847 0.238 0.408
0.277 0.193 0.295
0.431 0.005 0.663
0.931 0.995 0.837
0.223 0.193 0.795
0.723 0.807 0.705
0.569 0.995 0.337
0.935 0.692 0.539
0.347 0.762 0.092
0.065 0.308 0.461
0.052 0.361 0.800
0.448 0.361 0.300
0.552 0.639 0.700
0.948 0.639 0.200
0.902 0.453 0.965
0.098 0.547 0.035
0.402 0.547 0.535
0.598 0.453 0.465

***

Te6MoO6F30 PBE+U optimized geometry; space group = P-1, No. 2; magnetic moment = 0.00 μB/atom; calculated total energy = -4.46 eV/atom
1.0
-9.350 0.000 0.000
-1.172 -9.281 0.000
4.190 2.992 7.945
O F Te Mo
6 30 6 1
Direct
0.873 0.873 0.769
0.127 0.127 0.231
0.809 0.076 0.030
0.191 0.924 0.970
0.007 0.168 0.931
0.993 0.832 0.069
0.655 0.711 0.773
0.129 0.623 0.777
0.304 0.794 0.738
0.497 0.128 0.942
0.198 0.337 0.901
0.561 0.937 0.649
0.483 0.649 0.449
0.216 0.420 0.441
0.669 0.297 0.899
0.784 0.580 0.559
0.345 0.289 0.227
0.996 0.290 0.587
0.802 0.127 0.609
0.433 0.579 0.866
0.567 0.421 0.134
0.517 0.351 0.551
0.105 0.054 0.684
0.439 0.063 0.351
0.696 0.206 0.262
0.802 0.663 0.099
0.899 0.409 0.826
0.690 0.803 0.436
0.895 0.946 0.316
0.331 0.703 0.101
0.198 0.873 0.391
0.871 0.377 0.223
0.101 0.591 0.174
0.004 0.710 0.413
0.503 0.872 0.058
0.310 0.197 0.564
0.315 0.750 0.919
0.675 0.759 0.607
0.001 0.231 0.757
0.685 0.250 0.081
0.999 0.769 0.243
0.325 0.241 0.393
0.000 0.000 0.000

***

TmMoO4F PBE+U optimized geometry; space group = P2_1/c, No. 14; magnetic moment = 0.00 μB/atom; calculated total energy = -7.38 eV/atom
1.0
12.324 0.000 0.000
0.000 5.215 0.000
0.000 2.634 6.104
Mo O Tm F
4 16 4 4
Direct
0.144 0.079 0.370
0.856 0.921 0.630
0.356 0.079 0.870
0.644 0.921 0.130
0.936 0.689 0.537
0.431 0.001 0.660
0.069 0.001 0.160
0.153 0.758 0.596
0.564 0.689 0.037
0.347 0.758 0.096
0.931 0.999 0.840
0.653 0.242 0.904
0.569 0.999 0.340
0.279 0.194 0.295
0.721 0.806 0.705
0.847 0.242 0.404
0.064 0.311 0.463
0.779 0.806 0.205
0.221 0.194 0.795
0.436 0.311 0.963
0.450 0.361 0.301
0.050 0.361 0.801
0.950 0.639 0.199
0.550 0.639 0.699
0.403 0.543 0.536
0.903 0.457 0.964
0.597 0.457 0.464
0.097 0.543 0.036

***

Rb3MoF6 PBE+U optimized geometry; space group = Fm-3m, No. 225; calculated total energy = -4.86 eV/atom
1.0
-0.619 -4.246 5.125
1.678 -6.425 -0.762
5.454 -2.411 3.020
Rb F Mo
3 6 1
Direct
0.250 0.250 0.250
0.500 0.500 0.500
0.750 0.750 0.750
0.780 0.220 0.780
0.220 0.780 0.780
0.780 0.780 0.220
0.220 0.780 0.220
0.220 0.220 0.780
0.780 0.220 0.220
0.000 0.000 0.000